The following is a DFT calculation (GGA+U) of a relaxed UMnS2O15 crystal.

POSCAR file:
```
UMnS2O15
1.0
6.264 0.000 0.000
0.000 11.489 0.000
-0.121 0.000 8.825
U Mn S O
2 2 4 30
Direct
0.005 0.000 0.110 U
0.995 0.500 0.890 U
0.497 0.155 0.675 Mn
0.503 0.655 0.325 Mn
0.003 0.688 0.247 S
0.025 0.808 0.763 S
0.975 0.308 0.237 S
0.997 0.188 0.753 S
0.048 0.132 0.899 O
0.048 0.813 0.223 O
0.101 0.687 0.796 O
0.103 0.881 0.891 O
0.105 0.849 0.615 O
0.108 0.507 0.640 O
0.175 0.172 0.643 O
0.189 0.629 0.324 O
0.210 0.315 0.258 O
0.267 0.471 0.943 O
0.276 0.031 0.163 O
0.467 0.015 0.678 O
0.488 0.732 0.490 O
0.498 0.232 0.828 O
0.500 0.398 0.565 O
0.500 0.898 0.435 O
0.502 0.732 0.172 O
0.512 0.232 0.510 O
0.533 0.515 0.322 O
0.724 0.531 0.837 O
0.733 0.971 0.057 O
0.790 0.815 0.742 O
0.811 0.129 0.676 O
0.825 0.672 0.357 O
0.892 0.007 0.360 O
0.895 0.349 0.385 O
0.897 0.381 0.109 O
0.899 0.187 0.204 O
0.952 0.313 0.777 O
0.952 0.632 0.101 O
```

Values from the calculation:
SG: P2_1 (4)
DFT total energy in eV per atom: -6.23
Calculated volume in Å³/cell: 635.1
Energy of formation from the pure elements in kcal/mol of atoms: -33.14